# 1
An optimized crystal structure of SiO2. Source: the Materials Project database, functional PBE.

Cell: 13.192 13.192 13.192 Å, 90.00 90.00 90.00°
Space group Pm-3n (No. 223)
Inequivalent atoms, fractional coordinates:
Si 0.111 0.368 0.381 [48 per cell]
O 0.000 0.104 0.334 [24 per cell]
O 0.000 0.412 0.400 [24 per cell]
O 0.114 0.250 0.386 [24 per cell]
O 0.122 0.378 0.250 [24 per cell]

Computed properties:
Spin magnetization ... 0.01 μB per cell


# 2
An optimized crystal structure of Ti2RuRh. Source: the Materials Project database, functional PBE.

Cell: 6.196 6.196 6.196 Å, 90.00 90.00 90.00°
Space group Fm-3m (No. 225)
Inequivalent atoms, fractional coordinates:
Ti 0.250 0.250 0.250 [8 per cell]
Ru 0.000 0.000 0.000 [4 per cell]
Rh 0.000 0.000 0.500 [4 per cell]


# 3
An optimized crystal structure of BiAu. Source: the Materials Project database, functional PBE.

Cell: 4.446 4.402 5.706 Å, 90.00 91.66 90.00°
Space group C2/m (No. 12)
Inequivalent atoms, fractional coordinates:
Bi 0.000 0.000 0.000 [2 per cell]
Au 0.000 0.000 0.500 [2 per cell]

Computed properties:
Spin magnetization ... 0.00 μB per cell


# 4
An optimized crystal structure of CaSiO3. Source: the Materials Project database, functional PBE.

Cell: 11.952 6.936 10.618 Å, 90.00 111.28 90.00°
Space group C2/c (No. 15)
Inequivalent atoms, fractional coordinates:
Ca 0.088 0.238 0.499 [8 per cell]
Ca 0.250 0.250 0.000 [4 per cell]
Si 0.000 0.160 0.750 [4 per cell]
Si 0.128 0.453 0.245 [8 per cell]
O 0.000 0.358 0.250 [4 per cell]
O 0.050 0.057 0.895 [8 per cell]
O 0.111 0.306 0.748 [8 per cell]
O 0.128 0.404 0.097 [8 per cell]
O 0.229 0.399 0.388 [8 per cell]

Computed properties:
Spin magnetization ... 0.00 μB per cell


# 5
An optimized crystal structure of ZnIr2O4. Source: the Materials Project database, functional PBE.

Cell: 8.749 8.749 8.749 Å, 90.00 90.00 90.00°
Space group Fd-3m (No. 227, origin choice 2)
Inequivalent atoms, fractional coordinates:
Zn 0.125 0.125 0.125 [8 per cell]
Ir 0.000 0.000 0.500 [16 per cell]
O 0.011 0.011 0.739 [32 per cell]

Computed properties:
Spin magnetization ... 0.00 μB per cell


# 6
An optimized crystal structure of SbRu2C6Cl7O6. Source: the Materials Project database, functional PBE.

Cell: 9.395 12.111 17.093 Å, 90.00 100.22 90.00°
Space group P2_1/c (No. 14)
Inequivalent atoms, fractional coordinates:
Sb 0.136 0.140 0.123 [4 per cell]
Ru 0.306 0.537 0.973 [4 per cell]
Ru 0.368 0.037 0.911 [4 per cell]
C 0.142 0.017 0.403 [4 per cell]
C 0.189 0.641 0.016 [4 per cell]
C 0.235 0.156 0.890 [4 per cell]
C 0.300 0.530 0.310 [4 per cell]
C 0.353 0.635 0.893 [4 per cell]
C 0.485 0.616 0.631 [4 per cell]
Cl 0.017 0.748 0.811 [4 per cell]
Cl 0.093 0.530 0.685 [4 per cell]
Cl 0.192 0.560 0.474 [4 per cell]
Cl 0.252 0.097 0.570 [4 per cell]
Cl 0.345 0.174 0.225 [4 per cell]
Cl 0.461 0.115 0.044 [4 per cell]
Cl 0.477 0.098 0.431 [4 per cell]
O 0.040 0.048 0.361 [4 per cell]
O 0.116 0.701 0.042 [4 per cell]
O 0.154 0.229 0.882 [4 per cell]
O 0.264 0.572 0.249 [4 per cell]
O 0.378 0.689 0.842 [4 per cell]
O 0.400 0.666 0.656 [4 per cell]

Computed properties:
Spin magnetization ... 0.01 μB per cell


Calculated formation energy (eV per atom), listed in the same order as above: -2.561, -0.736, 0.204, -3.428, -1.062, -0.966
Calculated electronic total energy (eV per atom), listed in the same order as above: -7.2105, -8.8433, -3.3775, -7.4705, -6.2023, -6.2636